Compound: NpAgSeO5
Source: the Materials Project database
Functional: PBE-GGA
Structure: optimized geometry

Cell lengths 9.7862, 4.3022, 12.2414 Å; angles 74.40, 90.00, 90.00 degrees
Last column: nearest neighbours and their distance in Å.
Sites, in units of the cell vectors:
1 O 0.2533 0.8969 0.3848  1 Np 1.88
2 O 0.2467 0.8969 0.8848  1 Np 1.88
3 O 0.0883 0.0447 0.1389  1 Se 1.72
4 O 0.4584 0.4823 0.2898  1 Se 1.75
5 O 0.0416 0.4823 0.7898  1 Se 1.75
6 O 0.4324 0.1178 0.1026  1 Np 1.88
7 O 0.7533 0.1031 0.1152  1 Np 1.88
8 O 0.2685 0.5323 0.6946  1 Se 1.74
9 O 0.9584 0.5177 0.2102  1 Se 1.75
10 O 0.4117 0.0447 0.6389  1 Se 1.72
11 O 0.5883 0.9553 0.3611  1 Se 1.72
12 O 0.9117 0.9553 0.8611  1 Se 1.72
13 O 0.9324 0.8822 0.3974  1 Np 1.88
14 O 0.7685 0.4677 0.8054  1 Se 1.74
15 O 0.5676 0.8822 0.8974  1 Np 1.88
16 O 0.7467 0.1031 0.6152  1 Np 1.88
17 O 0.7315 0.4677 0.3054  1 Se 1.74
18 O 0.5416 0.5177 0.7102  1 Se 1.75
19 O 0.0676 0.1178 0.6026  1 Np 1.88
20 O 0.2315 0.5323 0.1946  1 Se 1.74
21 Ag 0.3894 0.3839 0.9134  2 O 2.33-2.56
22 Ag 0.1106 0.3839 0.4134  2 O 2.33-2.56
23 Ag 0.8894 0.6161 0.5866  2 O 2.33-2.56
24 Ag 0.6106 0.6161 0.0866  2 O 2.33-2.56
25 Se 0.4121 0.6708 0.6124  3 O 1.72-1.75
26 Se 0.9121 0.3292 0.8876  3 O 1.72-1.75
27 Se 0.0879 0.6708 0.1124  3 O 1.72-1.75
28 Se 0.5879 0.3292 0.3876  3 O 1.72-1.75
29 Np 0.8431 0.9939 0.2559  2 O 1.88
30 Np 0.3431 0.0061 0.2441  2 O 1.88
31 Np 0.1569 0.0061 0.7441  2 O 1.88
32 Np 0.6569 0.9939 0.7559  2 O 1.88

Properties
Raw total energy = -7.098 eV/atom
E (MP2020) = -7.53 eV/atom
Space group = P2_1/c

***

Compound: Ru
Source: the Materials Project database
Functional: PBE-GGA
Structure: optimized geometry

Cell lengths 2.7050, 2.7050, 2.7050 Å; angles 60.00, 60.00, 60.00 degrees
Last column: nearest neighbours and their distance in Å.
Sites, in units of the cell vectors:
1 Ru 0.0000 0.0000 0.0000  12 Ru 2.71

Properties
Raw total energy = -9.167 eV/atom
Space group = Fm-3m

***

Compound: ScPaOs2
Source: the Materials Project database
Functional: PBE-GGA
Structure: optimized geometry

Cell lengths 4.7511, 4.7511, 4.7511 Å; angles 60.00, 60.00, 60.00 degrees
Last column: nearest neighbours and their distance in Å.
Sites, in units of the cell vectors:
1 Sc 0.0000 0.0000 0.0000  8 Os 2.91
2 Pa 0.5000 0.5000 0.5000  8 Os 2.91
3 Os 0.2500 0.2500 0.2500  4 Pa 2.91, 4 Sc 2.91
4 Os 0.7500 0.7500 0.7500  4 Pa 2.91, 4 Sc 2.91

Properties
Raw total energy = -9.918 eV/atom
Space group = Fm-3m

***

Compound: Ba2LuRuO6
Source: the Materials Project database
Functional: PBE-GGA
Structure: optimized geometry

Cell lengths 5.9085, 5.9085, 5.9085 Å; angles 60.00, 60.00, 60.00 degrees
Last column: nearest neighbours and their distance in Å.
Sites, in units of the cell vectors:
1 O 0.7382 0.2618 0.2618  1 Ru 1.99, 1 Lu 2.19
2 O 0.2618 0.7382 0.7382  1 Ru 1.99, 1 Lu 2.19
3 O 0.2618 0.2618 0.7382  1 Ru 1.99, 1 Lu 2.19
4 O 0.2618 0.7382 0.2618  1 Ru 1.99, 1 Lu 2.19
5 O 0.7382 0.2618 0.7382  1 Ru 1.99, 1 Lu 2.19
6 O 0.7382 0.7382 0.2618  1 Ru 1.99, 1 Lu 2.19
7 Ru 0.5000 0.5000 0.5000  6 O 1.99
8 Ba 0.7500 0.7500 0.7500  12 O 2.96
9 Ba 0.2500 0.2500 0.2500  12 O 2.96
10 Lu 0.0000 0.0000 0.0000  6 O 2.19

Properties
Raw total energy = -7.208 eV/atom
E (MP2020) = -7.62 eV/atom
Space group = Fm-3m

***

Compound: Ca2Al2O5
Source: the Materials Project database
Functional: PBE-GGA
Structure: optimized geometry

Cell lengths 8.1826, 8.1826, 8.1826 Å; angles 142.32, 140.99, 55.36 degrees
Last column: nearest neighbours and their distance in Å.
Sites, in units of the cell vectors:
1 O 0.7418 0.2413 0.0043  2 Al 1.90-1.91
2 O 0.9160 0.3770 0.5760  1 Al 1.76
3 O 0.6990 0.1600 0.5760  1 Al 1.76
4 O 0.3870 0.3684 0.2554  2 Al 1.80-1.81
5 O 0.3010 0.8770 0.4610  1 Al 1.76
6 O 0.0840 0.6600 0.4610  1 Al 1.76
7 O 0.7370 0.7413 0.4995  2 Al 1.90-1.91
8 O 0.2630 0.7625 0.0043  2 Al 1.90-1.91
9 O 0.6130 0.8684 0.9815  2 Al 1.80-1.81
10 O 0.2582 0.2625 0.4995  2 Al 1.90-1.91
11 Al 0.3248 0.7045 0.5293  4 O 1.76-1.81
12 Al 0.5000 0.0029 0.5029  6 O 1.90-2.08
13 Al 0.6752 0.2045 0.3796  4 O 1.76-1.81
14 Al 0.0000 0.5029 0.5029  6 O 1.90-2.08
15 Ca 0.0821 0.1037 0.9705  7 O 2.33-2.58
16 Ca 0.3668 0.3884 0.9705  7 O 2.33-2.58
17 Ca 0.9179 0.8884 0.0216  7 O 2.33-2.58
18 Ca 0.6332 0.6037 0.0216  7 O 2.33-2.58

Properties
Raw total energy = -7.057 eV/atom
E (MP2020) = -7.44 eV/atom
Space group = Ima2

***

Compound: TiCuSnS4
Source: the Materials Project database
Functional: PBE-GGA
Structure: optimized geometry

Cell lengths 7.3314, 7.3314, 7.3314 Å; angles 121.57, 118.79, 89.71 degrees
Last column: nearest neighbours and their distance in Å.
Sites, in units of the cell vectors:
1 S 0.7657 0.2718 0.0061  1 Cu 2.31, 1 Ti 2.44
2 S 0.2343 0.2404 0.5061  1 Cu 2.31, 1 Ti 2.44
3 S 0.7706 0.2527 0.5179  1 Cu 2.34, 2 Ti 2.49
4 S 0.2294 0.7473 0.4821  1 Cu 2.34, 2 Ti 2.49
5 S 0.7657 0.7595 0.4939  1 Cu 2.31, 1 Ti 2.44
6 S 0.2343 0.7282 0.9939  1 Cu 2.31, 1 Ti 2.44
7 S 0.7651 0.7473 0.0179  1 Cu 2.34, 2 Ti 2.49
8 S 0.2349 0.2527 0.9821  1 Cu 2.34, 2 Ti 2.49
9 Cu 0.6199 0.3699 0.2500  4 S 2.31-2.34
10 Cu 0.3801 0.6301 0.7500  4 S 2.31-2.34
11 Sn 0.5000 0.0000 0.5000  6 S 2.62-2.63
12 Sn 0.0000 0.0000 0.0000  6 S 2.62-2.63
13 Ti 0.0000 0.5000 0.0000  6 S 2.44-2.49
14 Ti 0.0000 0.0000 0.5000  6 S 2.44-2.49

Properties
Raw total energy = -5.390 eV/atom
E (MP2020) = -5.68 eV/atom
Space group = Imma

***

Compound: Cs2P2H2O7
Source: the Materials Project database
Functional: PBE-GGA
Structure: optimized geometry

Cell lengths 6.0862, 6.0862, 11.5210 Å; angles 89.77, 89.77, 96.94 degrees
Last column: nearest neighbours and their distance in Å.
Sites, in units of the cell vectors:
1 P 0.1996 0.1714 0.2634  4 O 1.51-1.65
2 P 0.1714 0.1996 0.7634  4 O 1.51-1.65
3 P 0.8004 0.8286 0.7366  4 O 1.51-1.65
4 P 0.8286 0.8004 0.2366  4 O 1.51-1.65
5 O 0.6514 0.9682 0.8036  1 H 1.50, 1 P 1.52
6 O 0.3955 0.1932 0.6925  1 H 1.04
7 O 0.9411 0.0589 0.2500  2 P 1.65
8 O 0.2430 0.2090 0.3908  1 P 1.51
9 O 0.7910 0.7570 0.1092  1 P 1.51
10 O 0.0589 0.9411 0.7500  2 P 1.65
11 O 0.8068 0.6045 0.8075  1 H 1.04
12 O 0.0318 0.3486 0.6964  1 H 1.50, 1 P 1.52
13 O 0.6045 0.8068 0.3075  1 H 1.04
14 O 0.7570 0.7910 0.6092  1 P 1.51
15 O 0.2090 0.2430 0.8908  1 P 1.51
16 O 0.9682 0.6514 0.3036  1 H 1.50, 1 P 1.52
17 O 0.3486 0.0318 0.1964  1 H 1.50, 1 P 1.52
18 O 0.1932 0.3955 0.1925  1 H 1.04
19 Cs 0.2678 0.7209 0.5206  8 O 3.10-3.45, 1 H 3.37
20 Cs 0.7322 0.2791 0.4794  8 O 3.10-3.45, 1 H 3.37
21 Cs 0.2791 0.7322 0.9794  8 O 3.10-3.45, 1 H 3.37
22 Cs 0.7209 0.2678 0.0206  8 O 3.10-3.45, 1 H 3.37
23 H 0.4915 0.8910 0.2627  1 O 1.04
24 H 0.1090 0.5085 0.2373  1 O 1.04
25 H 0.8910 0.4915 0.7627  1 O 1.04
26 H 0.5085 0.1090 0.7373  1 O 1.04

Properties
Raw total energy = -6.160 eV/atom
E (MP2020) = -6.53 eV/atom
Space group = C2/c

***

Compound: Tm3Al
Source: the Materials Project database
Functional: PBE-GGA
Structure: optimized geometry

Cell lengths 6.7191, 6.7191, 5.2866 Å; angles 90.00, 90.00, 120.00 degrees
Last column: nearest neighbours and their distance in Å.
Sites, in units of the cell vectors:
1 Al 0.3333 0.6667 0.7500  12 Tm 3.24-3.36
2 Al 0.6667 0.3333 0.2500  12 Tm 3.24-3.36
3 Tm 0.8270 0.6541 0.7500  8 Tm 3.23-3.49, 4 Al 3.24-3.36
4 Tm 0.8270 0.1730 0.7500  8 Tm 3.23-3.49, 4 Al 3.24-3.36
5 Tm 0.1730 0.3459 0.2500  8 Tm 3.23-3.49, 4 Al 3.24-3.36
6 Tm 0.1730 0.8270 0.2500  8 Tm 3.23-3.49, 4 Al 3.24-3.36
7 Tm 0.6541 0.8270 0.2500  8 Tm 3.23-3.49, 4 Al 3.24-3.36
8 Tm 0.3459 0.1730 0.7500  8 Tm 3.23-3.49, 4 Al 3.24-3.36

Properties
Raw total energy = -4.491 eV/atom
Space group = P6_3/mmc